Entry from Materials Project: a relaxed Li32Mn5Cr11O48 crystal (PBE with a Hubbard U).

## Properties
As for the total energy: -598.63 eV/cell. The symmetry is No. 5. As for the energy of formation from the pure elements: -2.202 eV per atom. The density is 3.63 g/cm³.

Cell: 5.0157 5.0157 38.4534 Å, 90.99 90.99 119.61°
Last column: nearest neighbours and their distance in Å.
Sites, in units of the cell vectors:
1 Li 0.0001 0.9999 0.0000  6 O 2.10-2.12
2 Li 0.0256 0.3471 0.0626  6 O 2.06-2.23
3 Li 0.0718 0.0627 0.1875  6 O 2.03-2.22
4 Li 0.0982 0.7769 0.3125  6 O 2.06-2.22
5 Li 0.1249 0.1249 0.3749  6 O 2.09-2.12
6 Li 0.1578 0.4760 0.4376  6 O 2.06-2.19
7 Li 0.1888 0.1881 0.5624  6 O 2.04-2.21
8 Li 0.2231 0.9018 0.6875  6 O 2.06-2.22
9 Li 0.2565 0.2546 0.7500  6 O 2.07-2.16
10 Li 0.2775 0.6031 0.8124  6 O 2.05-2.23
11 Li 0.3148 0.3090 0.9375  6 O 2.04-2.22
12 Li 0.3465 0.0290 0.0625  6 O 2.07-2.22
13 Li 0.3727 0.3691 0.1250  6 O 2.07-2.15
14 Li 0.3969 0.7225 0.1876  6 O 2.05-2.23
15 Li 0.4436 0.4412 0.3124  6 O 2.03-2.22
16 Li 0.4692 0.1493 0.4375  6 O 2.07-2.23
17 Li 0.4978 0.5022 0.5000  6 O 2.07-2.12
18 Li 0.5240 0.8422 0.5624  6 O 2.06-2.19
19 Li 0.5588 0.5564 0.6876  6 O 2.03-2.22
20 Li 0.5981 0.2794 0.8126  6 O 2.07-2.22
21 Li 0.6309 0.6273 0.8750  6 O 2.07-2.15
22 Li 0.6529 0.9744 0.9374  6 O 2.06-2.23
23 Li 0.6910 0.6852 0.0625  6 O 2.04-2.22
24 Li 0.7206 0.4019 0.1874  6 O 2.07-2.22
25 Li 0.7454 0.7435 0.2500  6 O 2.07-2.16
26 Li 0.7710 0.0948 0.3123  6 O 2.05-2.19
27 Li 0.8119 0.8112 0.4376  6 O 2.04-2.21
28 Li 0.8507 0.5308 0.5625  6 O 2.07-2.23
29 Li 0.8751 0.8751 0.6251  6 O 2.09-2.12
30 Li 0.9052 0.2290 0.6877  6 O 2.05-2.19
31 Li 0.9373 0.9282 0.8125  6 O 2.03-2.22
32 Li 0.9710 0.6535 0.9375  6 O 2.07-2.22
33 Mn 0.0426 0.7077 0.1250  6 O 1.93-1.95
34 Mn 0.1674 0.8326 0.5000  6 O 1.92-1.95
35 Mn 0.2923 0.9574 0.8750  6 O 1.93-1.95
36 Mn 0.4164 0.0832 0.2501  6 O 1.93-1.95
37 Mn 0.9168 0.5836 0.7499  6 O 1.93-1.95
38 Cr 0.0770 0.4105 0.2499  6 O 1.91-1.99
39 Cr 0.2042 0.5460 0.6250  6 O 1.88-2.00
40 Cr 0.3298 0.6702 0.0000  6 O 1.89-1.99
41 Cr 0.4540 0.7958 0.3750  6 O 1.88-2.00
42 Cr 0.5464 0.2038 0.6250  6 O 1.88-2.00
43 Cr 0.5895 0.9230 0.7501  6 O 1.91-1.99
44 Cr 0.6710 0.3290 0.0000  6 O 1.89-1.99
45 Cr 0.7046 0.0356 0.1250  6 O 1.91-1.98
46 Cr 0.7962 0.4536 0.3750  6 O 1.88-2.00
47 Cr 0.8290 0.1710 0.5000  6 O 1.90-1.98
48 Cr 0.9644 0.2954 0.8750  6 O 1.91-1.98
49 O 0.0140 0.0070 0.0961  1 Mn 1.94, 1 Cr 1.98, 4 Li 2.04-2.13
50 O 0.0187 0.6553 0.0282  2 Cr 1.89-1.99, 2 Li 2.06-2.10
51 O 0.0234 0.3825 0.1530  1 Mn 1.93, 1 Cr 1.97, 2 Li 2.07-2.10
52 O 0.1006 0.7412 0.2222  1 Cr 1.94, 1 Mn 1.95, 3 Li 2.05-2.17
53 O 0.1050 0.4681 0.3465  2 Cr 1.88-2.00, 2 Li 2.06-2.10
54 O 0.1189 0.1231 0.2784  1 Cr 1.92, 1 Mn 1.95, 1 Li 2.05
55 O 0.1320 0.1318 0.4716  1 Mn 1.95, 1 Cr 1.97, 4 Li 2.04-2.14
56 O 0.1446 0.7812 0.4033  2 Cr 1.88-1.99, 2 Li 2.06-2.10
57 O 0.1565 0.5147 0.5283  1 Mn 1.92, 1 Cr 1.98, 2 Li 2.07
58 O 0.2188 0.8554 0.5967  2 Cr 1.88-1.99, 2 Li 2.06-2.10
59 O 0.2413 0.2415 0.6533  2 Cr 1.97, 4 Li 2.03-2.14
60 O 0.2410 0.5993 0.7220  1 Mn 1.93, 1 Cr 1.98, 2 Li 2.07-2.09
61 O 0.2538 0.2559 0.8465  1 Cr 1.92, 1 Mn 1.95, 2 Li 2.05-2.14
62 O 0.2588 0.8994 0.7778  1 Cr 1.94, 1 Mn 1.95, 3 Li 2.05-2.17
63 O 0.2706 0.6290 0.9029  1 Cr 1.91, 1 Mn 1.94, 2 Li 2.07-2.12
64 O 0.3447 0.9813 0.9718  2 Cr 1.89-1.99, 2 Li 2.06-2.10
65 O 0.3677 0.3674 0.0285  2 Cr 1.97, 4 Li 2.05-2.14
66 O 0.3710 0.7294 0.0971  1 Cr 1.91, 1 Mn 1.94, 2 Li 2.07-2.12
67 O 0.3761 0.0237 0.1533  1 Mn 1.94, 1 Cr 1.97, 3 Li 2.06-2.11
68 O 0.3889 0.3826 0.2210  1 Mn 1.94, 1 Cr 1.99, 4 Li 2.03-2.14
69 O 0.4007 0.7590 0.2780  1 Mn 1.93, 1 Cr 1.98, 2 Li 2.07-2.09
70 O 0.4673 0.1048 0.3467  2 Cr 1.88-2.00, 2 Li 2.05-2.09
71 O 0.4853 0.8435 0.4717  1 Mn 1.92, 1 Cr 1.98, 2 Li 2.07
72 O 0.4923 0.4919 0.4033  2 Cr 1.97, 4 Li 2.05-2.14
73 O 0.5081 0.5077 0.5967  2 Cr 1.97, 4 Li 2.05-2.14
74 O 0.5101 0.1484 0.5279  1 Cr 1.90, 1 Mn 1.95, 2 Li 2.07-2.12
75 O 0.5319 0.8950 0.6535  2 Cr 1.88-2.00, 2 Li 2.06-2.10
76 O 0.6010 0.2498 0.7217  1 Mn 1.94, 1 Cr 1.96, 3 Li 2.07-2.12
77 O 0.6174 0.6111 0.7790  1 Mn 1.94, 1 Cr 1.99, 4 Li 2.03-2.14
78 O 0.6175 0.9766 0.8470  1 Mn 1.93, 1 Cr 1.97, 2 Li 2.07-2.10
79 O 0.6325 0.2738 0.9030  1 Mn 1.95, 1 Cr 1.96, 3 Li 2.06-2.16
80 O 0.6326 0.6323 0.9715  2 Cr 1.97, 4 Li 2.05-2.14
81 O 0.6556 0.0185 0.0283  2 Cr 1.89-1.99, 2 Li 2.07-2.10
82 O 0.7262 0.3675 0.0970  1 Mn 1.95, 1 Cr 1.96, 3 Li 2.06-2.16
83 O 0.7441 0.1023 0.2221  1 Cr 1.91, 1 Mn 1.94, 2 Li 2.07-2.11
84 O 0.7441 0.7462 0.1535  1 Cr 1.92, 1 Mn 1.95, 2 Li 2.05-2.14
85 O 0.7502 0.3990 0.2783  1 Mn 1.94, 1 Cr 1.96, 3 Li 2.07-2.12
86 O 0.7585 0.7587 0.3467  2 Cr 1.97, 4 Li 2.03-2.14
87 O 0.7820 0.1452 0.4034  2 Cr 1.88-2.00, 2 Li 2.07-2.10
88 O 0.8516 0.4899 0.4721  1 Cr 1.90, 1 Mn 1.95, 2 Li 2.07-2.12
89 O 0.8548 0.2180 0.5966  2 Cr 1.88-2.00, 2 Li 2.07-2.10
90 O 0.8682 0.8680 0.5284  1 Mn 1.95, 1 Cr 1.97, 4 Li 2.04-2.14
91 O 0.8769 0.8811 0.7216  1 Cr 1.92, 1 Mn 1.95, 1 Li 2.05
92 O 0.8952 0.5327 0.6533  2 Cr 1.88-2.00, 2 Li 2.05-2.09
93 O 0.8977 0.2559 0.7779  1 Cr 1.91, 1 Mn 1.94, 2 Li 2.07-2.11
94 O 0.9763 0.6239 0.8467  1 Mn 1.94, 1 Cr 1.97, 3 Li 2.06-2.11
95 O 0.9815 0.3444 0.9717  2 Cr 1.89-1.99, 2 Li 2.07-2.10
96 O 0.9930 0.9860 0.9039  1 Mn 1.94, 1 Cr 1.98, 4 Li 2.04-2.13